r2SCAN BeGeP2, optimized geometry; formation enthalpy at 0 K = -0.3304 eV per atom; calculated density = 3.41 g cm⁻³; crystal system = tetragonal
1.0
-2.591 2.591 5.201
2.591 -2.591 5.201
2.591 2.591 -5.201
Be Ge P
2 2 4
Direct
0.000 0.000 0.000 Be
0.750 0.250 0.500 Be
0.250 0.750 0.500 Ge
0.500 0.500 0.000 Ge
0.100 0.125 0.475 P
0.375 0.900 0.025 P
0.650 0.625 0.525 P
0.875 0.350 0.975 P



r2SCAN Zr3Hg, optimized geometry; formation enthalpy at 0 K = -0.2144 eV per atom; calculated density = 9.01 g cm⁻³; crystal system = cubic
1.0
5.591 0.000 0.000
0.000 5.591 0.000
0.000 0.000 5.591
Zr Hg
6 2
Direct
0.000 0.250 0.500 Zr
0.000 0.750 0.500 Zr
0.250 0.500 0.000 Zr
0.500 0.000 0.250 Zr
0.500 0.000 0.750 Zr
0.750 0.500 0.000 Zr
0.000 0.000 0.000 Hg
0.500 0.500 0.500 Hg



r2SCAN MnSeO3, optimized geometry; formation enthalpy at 0 K = -1.3897 eV per atom; calculated density = 4.23 g cm⁻³; crystal system = monoclinic
1.0
8.023 0.000 0.000
0.000 8.307 0.000
-6.050 0.000 8.577
Mn Se O
8 8 24
Direct
0.028 0.203 0.016 Mn
0.028 0.297 0.516 Mn
0.303 0.119 0.876 Mn
0.303 0.381 0.376 Mn
0.697 0.619 0.624 Mn
0.697 0.881 0.124 Mn
0.972 0.703 0.484 Mn
0.972 0.797 0.984 Mn
0.142 0.504 0.833 Se
0.142 0.996 0.333 Se
0.431 0.629 0.208 Se
0.431 0.871 0.708 Se
0.569 0.129 0.292 Se
0.569 0.371 0.792 Se
0.858 0.004 0.667 Se
0.858 0.496 0.167 Se
0.029 0.512 0.369 O
0.029 0.988 0.869 O
0.030 0.091 0.641 O
0.030 0.409 0.141 O
0.148 0.185 0.399 O
0.148 0.315 0.899 O
0.285 0.705 0.656 O
0.285 0.795 0.156 O
0.339 0.209 0.236 O
0.339 0.291 0.736 O
0.473 0.583 0.385 O
0.473 0.917 0.885 O
0.527 0.083 0.115 O
0.527 0.417 0.615 O
0.661 0.709 0.264 O
0.661 0.791 0.764 O
0.715 0.205 0.844 O
0.715 0.295 0.344 O
0.852 0.685 0.101 O
0.852 0.815 0.601 O
0.970 0.591 0.859 O
0.970 0.909 0.359 O
0.971 0.012 0.131 O
0.971 0.488 0.631 O